The following is a PBE calculation of Lu12Mn5C15 after structural relaxation, from the Materials Project database.

abc: 10.2836 10.2836 4.9007
angles: 90.00 90.00 120.00
With the nearest neighbours (Å) after each atom.
Element x y z (fractional)
Lu: 0.0000 0.4313 0.0000  8 C 2.47-2.71
Lu: 0.0000 0.7933 0.0000  4 C 2.45
Lu: 0.1855 0.7308 0.5000  5 C 2.31-2.48
Lu: 0.2067 0.2067 0.0000  4 C 2.45
Lu: 0.2692 0.4546 0.5000  5 C 2.31-2.48
Lu: 0.4313 0.0000 0.0000  8 C 2.47-2.71
Lu: 0.4546 0.2692 0.5000  5 C 2.31-2.48
Lu: 0.5454 0.8145 0.5000  5 C 2.31-2.48
Lu: 0.5687 0.5687 0.0000  8 C 2.47-2.71
Lu: 0.7308 0.1855 0.5000  5 C 2.31-2.48
Lu: 0.7933 0.0000 0.0000  4 C 2.45
Lu: 0.8145 0.5454 0.5000  5 C 2.31-2.48
Mn: 0.0000 0.1531 0.5000  3 C 1.78-1.90
Mn: 0.1531 0.0000 0.5000  3 C 1.78-1.90
Mn: 0.3333 0.6667 0.0000  3 C 1.79
Mn: 0.6667 0.3333 0.0000  3 C 1.79
Mn: 0.8469 0.8469 0.5000  3 C 1.78-1.90
C: 0.0000 0.3267 0.5000  1 C 1.36
C: 0.0000 0.4585 0.5000  1 C 1.36
C: 0.0000 0.7945 0.5000  2 Mn 1.90
C: 0.1913 0.7183 0.0000  1 Mn 1.79
C: 0.2055 0.2055 0.5000  2 Mn 1.90
C: 0.2817 0.4730 0.0000  1 Mn 1.79
C: 0.3267 0.0000 0.5000  1 C 1.36
C: 0.4585 0.0000 0.5000  1 C 1.36
C: 0.4730 0.2817 0.0000  1 Mn 1.79
C: 0.5270 0.8087 0.0000  1 Mn 1.79
C: 0.5415 0.5415 0.5000  1 C 1.36
C: 0.6733 0.6733 0.5000  1 C 1.36
C: 0.7183 0.1913 0.0000  1 Mn 1.79
C: 0.7945 0.0000 0.5000  2 Mn 1.90
C: 0.8087 0.5270 0.0000  1 Mn 1.79

Values from the calculation:
Spin magnetization (Bohr magnetons per cell): 1.41
Crystal system: hexagonal


The following is a PBE calculation of Lu2Mn17C3 after structural relaxation, from the Materials Project database.

abc: 8.4609 8.4609 8.3030
angles: 90.00 90.00 120.00
With the nearest neighbours (Å) after each atom.
Element x y z (fractional)
Lu: 0.0000 0.0000 0.2500  3 C 2.40
Lu: 0.0000 0.0000 0.7500  3 C 2.40
Lu: 0.3333 0.6667 0.2500  3 C 2.48
Lu: 0.6667 0.3333 0.7500  3 C 2.48
Mn: 0.0000 0.5000 0.0000  10 Mn 2.42-2.60
Mn: 0.0000 0.5000 0.5000  10 Mn 2.42-2.60
Mn: 0.0589 0.3873 0.7500  1 C 1.89
Mn: 0.0589 0.6716 0.7500  1 C 1.89
Mn: 0.1708 0.3416 0.0246  1 C 1.87
Mn: 0.1708 0.3416 0.4754  1 C 1.87
Mn: 0.1708 0.8292 0.0246  1 C 1.87
Mn: 0.1708 0.8292 0.4754  1 C 1.87
Mn: 0.3284 0.3873 0.7500  1 C 1.89
Mn: 0.3284 0.9411 0.7500  1 C 1.89
Mn: 0.3333 0.6667 0.6076  13 Mn 2.36-2.62
Mn: 0.3333 0.6667 0.8924  13 Mn 2.36-2.62
Mn: 0.3416 0.1708 0.5246  1 C 1.87
Mn: 0.3416 0.1708 0.9754  1 C 1.87
Mn: 0.3873 0.0589 0.2500  1 C 1.89
Mn: 0.3873 0.3284 0.2500  1 C 1.89
Mn: 0.5000 0.0000 0.0000  10 Mn 2.42-2.60
Mn: 0.5000 0.0000 0.5000  10 Mn 2.42-2.60
Mn: 0.5000 0.5000 0.0000  10 Mn 2.42-2.60
Mn: 0.5000 0.5000 0.5000  10 Mn 2.42-2.60
Mn: 0.6127 0.6716 0.7500  1 C 1.89
Mn: 0.6127 0.9411 0.7500  1 C 1.89
Mn: 0.6584 0.8292 0.0246  1 C 1.87
Mn: 0.6584 0.8292 0.4754  1 C 1.87
Mn: 0.6667 0.3333 0.1076  13 Mn 2.36-2.62
Mn: 0.6667 0.3333 0.3924  13 Mn 2.36-2.62
Mn: 0.6716 0.0589 0.2500  1 C 1.89
Mn: 0.6716 0.6127 0.2500  1 C 1.89
Mn: 0.8292 0.1708 0.5246  1 C 1.87
Mn: 0.8292 0.1708 0.9754  1 C 1.87
Mn: 0.8292 0.6584 0.5246  1 C 1.87
Mn: 0.8292 0.6584 0.9754  1 C 1.87
Mn: 0.9411 0.3284 0.2500  1 C 1.89
Mn: 0.9411 0.6127 0.2500  1 C 1.89
C: 0.1639 0.3278 0.2500  4 Mn 1.87-1.89
C: 0.1639 0.8361 0.2500  4 Mn 1.87-1.89
C: 0.3278 0.1639 0.7500  4 Mn 1.87-1.89
C: 0.6722 0.8361 0.2500  4 Mn 1.87-1.89
C: 0.8361 0.1639 0.7500  4 Mn 1.87-1.89
C: 0.8361 0.6722 0.7500  4 Mn 1.87-1.89

Values from the calculation:
Spin magnetization (Bohr magnetons per cell): 0.54
Crystal system: hexagonal


The following is a PBE calculation of Lu2Mo2C3 after structural relaxation, from the Materials Project database.

abc: 11.2576 3.3423 5.5987
angles: 90.00 109.18 90.00
With the nearest neighbours (Å) after each atom.
Element x y z (fractional)
Lu: 0.1160 0.0000 0.3176  5 C 2.35-2.52
Lu: 0.3840 0.5000 0.6824  5 C 2.35-2.52
Lu: 0.6160 0.5000 0.3176  5 C 2.35-2.52
Lu: 0.8840 0.0000 0.6824  5 C 2.35-2.52
Mo: 0.1476 0.5000 0.8660  4 C 2.04-2.12
Mo: 0.3524 0.0000 0.1340  4 C 2.04-2.12
Mo: 0.6476 0.0000 0.8660  4 C 2.04-2.12
Mo: 0.8524 0.5000 0.1340  4 C 2.04-2.12
C: 0.0000 0.5000 0.0000  2 Mo 2.04
C: 0.2314 0.0000 0.7528  3 Mo 2.12, 1 Lu 2.35
C: 0.2686 0.5000 0.2472  3 Mo 2.12, 1 Lu 2.35
C: 0.5000 0.0000 0.0000  2 Mo 2.04
C: 0.7314 0.5000 0.7528  3 Mo 2.12, 1 Lu 2.35
C: 0.7686 0.0000 0.2472  3 Mo 2.12, 1 Lu 2.35

Values from the calculation:
Crystal system: monoclinic


The following is a PBE calculation of Lu2C3N6 after structural relaxation, from the Materials Project database.

abc: 6.1630 6.1630 6.1630
angles: 60.77 60.77 60.77
With the nearest neighbours (Å) after each atom.
Element x y z (fractional)
Lu: 0.1722 0.1722 0.1722  6 N 2.28-2.34
Lu: 0.8278 0.8278 0.8278  6 N 2.28-2.34
C: 0.0000 0.2894 0.7106  2 N 1.23
C: 0.2894 0.7106 0.0000  2 N 1.23
C: 0.7106 0.0000 0.2894  2 N 1.23
N: 0.0097 0.1670 0.5953  1 C 1.23
N: 0.1670 0.5953 0.0097  1 C 1.23
N: 0.4047 0.8330 0.9903  1 C 1.23
N: 0.5953 0.0097 0.1670  1 C 1.23
N: 0.8330 0.9903 0.4047  1 C 1.23
N: 0.9903 0.4047 0.8330  1 C 1.23

Values from the calculation:
Piezoelectric modulus e_max (C/m²): 0.14
Spin magnetization (Bohr magnetons per cell): 0.00
Crystal system: trigonal
MP2020-corrected energy (eV for the cell shown): -97.61


The following is a PBE calculation of Lu2C3N6 after structural relaxation, from the Materials Project database.

abc: 10.5097 10.5097 10.5097
angles: 34.79 34.79 34.79
With the nearest neighbours (Å) after each atom.
Element x y z (fractional)
Lu: 0.1642 0.1642 0.1642  6 N 2.28-2.33
Lu: 0.3358 0.3358 0.3358  6 N 2.28-2.33
Lu: 0.6642 0.6642 0.6642  6 N 2.28-2.33
Lu: 0.8358 0.8358 0.8358  6 N 2.28-2.33
C: 0.0457 0.7500 0.4543  2 N 1.23
C: 0.2500 0.5457 0.9543  2 N 1.23
C: 0.4543 0.0457 0.7500  2 N 1.23
C: 0.5457 0.9543 0.2500  2 N 1.23
C: 0.7500 0.4543 0.0457  2 N 1.23
C: 0.9543 0.2500 0.5457  2 N 1.23
N: 0.0399 0.6392 0.4523  1 C 1.23
N: 0.0477 0.8608 0.4601  1 C 1.23
N: 0.1392 0.5399 0.9523  1 C 1.23
N: 0.3608 0.5477 0.9601  1 C 1.23
N: 0.4523 0.0399 0.6392  1 C 1.23
N: 0.4601 0.0477 0.8608  1 C 1.23
N: 0.5399 0.9523 0.1392  1 C 1.23
N: 0.5477 0.9601 0.3608  1 C 1.23
N: 0.6392 0.4523 0.0399  1 C 1.23
N: 0.8608 0.4601 0.0477  1 C 1.23
N: 0.9523 0.1392 0.5399  1 C 1.23
N: 0.9601 0.3608 0.5477  1 C 1.23

Values from the calculation:
Crystal system: trigonal
MP2020-corrected energy (eV for the cell shown): -196.22


The following is a PBE calculation of LuNiC2 after structural relaxation, from the Materials Project database.

abc: 3.4681 4.4974 5.9591
angles: 90.00 90.00 90.00
With the nearest neighbours (Å) after each atom.
Element x y z (fractional)
Lu: 0.0000 0.0000 0.0000  8 C 2.58-2.62, 2 Ni 2.89
Lu: 0.0000 0.5000 0.5000  8 C 2.58-2.62, 2 Ni 2.89
Ni: 0.5000 0.0000 0.6113  4 C 1.92-1.98
Ni: 0.5000 0.5000 0.1113  4 C 1.92-1.98
C: 0.5000 0.1531 0.2999  1 C 1.38
C: 0.5000 0.3469 0.7999  1 C 1.38
C: 0.5000 0.6531 0.7999  1 C 1.38
C: 0.5000 0.8469 0.2999  1 C 1.38

Values from the calculation:
Crystal system: orthorhombic


The following is a PBE calculation of Lu4Ni2C5 after structural relaxation, from the Materials Project database.

abc: 3.5177 11.3850 3.6471
angles: 90.00 90.00 90.00
With the nearest neighbours (Å) after each atom.
Element x y z (fractional)
Lu: 0.0000 0.0000 0.0000  4 C 2.60, 8 Ni 2.83-2.88
Lu: 0.0000 0.2979 0.7074  7 C 2.30-2.56
Lu: 0.0000 0.7021 0.7074  7 C 2.30-2.56
Lu: 0.5000 0.5000 0.2097  6 C 2.51-2.59
Ni: 0.5000 0.1153 0.5107  3 C 1.92-2.10
Ni: 0.5000 0.8847 0.5107  3 C 1.92-2.10
C: 0.0000 0.5000 0.7173  6 Lu 2.30-2.55
C: 0.5000 0.1679 0.0102  1 C 1.40
C: 0.5000 0.2725 0.2109  1 C 1.40
C: 0.5000 0.7275 0.2109  1 C 1.40
C: 0.5000 0.8321 0.0102  1 C 1.40

Values from the calculation:
Crystal system: orthorhombic


The following is a PBE calculation of Lu4Ni13C4 after structural relaxation, from the Materials Project database.

abc: 8.2844 8.2844 3.8055
angles: 90.00 90.00 91.33
With the nearest neighbours (Å) after each atom.
Element x y z (fractional)
Lu: 0.1861 0.8139 0.0000  8 Ni 2.63-2.91
Lu: 0.3484 0.3484 0.0000  5 Ni 2.60-2.88, 4 C 2.68
Lu: 0.6516 0.6516 0.0000  5 Ni 2.60-2.88, 4 C 2.68
Lu: 0.8139 0.1861 0.0000  8 Ni 2.63-2.91
Ni: 0.0000 0.0000 0.5000  8 Ni 2.38-2.48
Ni: 0.0000 0.5000 0.0000  2 C 1.90
Ni: 0.0749 0.2914 0.5000  1 C 1.85
Ni: 0.1241 0.1241 0.0000  6 Ni 2.38-2.39, 3 Lu 2.60-2.63
Ni: 0.2158 0.5704 0.5000  2 C 1.87-1.89
Ni: 0.2914 0.0749 0.5000  1 C 1.85
Ni: 0.4296 0.7842 0.5000  2 C 1.87-1.89
Ni: 0.5000 0.0000 0.0000  2 C 1.90
Ni: 0.5704 0.2158 0.5000  2 C 1.87-1.89
Ni: 0.7086 0.9251 0.5000  1 C 1.85
Ni: 0.7842 0.4296 0.5000  2 C 1.87-1.89
Ni: 0.8759 0.8759 0.0000  6 Ni 2.38-2.39, 3 Lu 2.60-2.63
Ni: 0.9251 0.7086 0.5000  1 C 1.85
C: 0.0000 0.5000 0.5000  6 Ni 1.85-1.90
C: 0.4429 0.5571 0.5000  1 C 1.35
C: 0.5000 0.0000 0.5000  6 Ni 1.85-1.90
C: 0.5571 0.4429 0.5000  1 C 1.35

Values from the calculation:
Crystal system: orthorhombic


The following is a PBE calculation of Lu11Ni60C6 after structural relaxation, from the Materials Project database.

abc: 10.6855 10.6855 10.6855
angles: 109.47 109.47 109.47
With the nearest neighbours (Å) after each atom.
Element x y z (fractional)
Lu: 0.0000 0.0000 0.3369  15 Ni 2.78-2.95
Lu: 0.0000 0.0000 0.6631  15 Ni 2.78-2.95
Lu: 0.0000 0.3369 0.0000  15 Ni 2.78-2.95
Lu: 0.0000 0.5000 0.5000  2 C 2.54
Lu: 0.0000 0.6631 0.0000  15 Ni 2.78-2.95
Lu: 0.3369 0.0000 0.0000  15 Ni 2.78-2.95
Lu: 0.3369 0.3369 0.3369  15 Ni 2.78-2.95
Lu: 0.5000 0.0000 0.5000  2 C 2.54
Lu: 0.5000 0.5000 0.0000  2 C 2.54
Lu: 0.6631 0.0000 0.0000  15 Ni 2.78-2.95
Lu: 0.6631 0.6631 0.6631  15 Ni 2.78-2.95
Ni: 0.0000 0.1446 0.1446  1 C 1.84
Ni: 0.0000 0.2326 0.5806  7 Ni 2.30-2.48
Ni: 0.0000 0.4194 0.7674  7 Ni 2.30-2.48
Ni: 0.0000 0.5806 0.2326  7 Ni 2.30-2.48
Ni: 0.0000 0.7674 0.4194  7 Ni 2.30-2.48
Ni: 0.0000 0.8554 0.8554  1 C 1.84
Ni: 0.1446 0.0000 0.1446  1 C 1.84
Ni: 0.1446 0.1446 0.0000  1 C 1.84
Ni: 0.1486 0.3172 0.4658  1 C 1.86
Ni: 0.1486 0.4658 0.3172  1 C 1.86
Ni: 0.1486 0.6828 0.8314  1 C 1.86
Ni: 0.1486 0.8314 0.6828  1 C 1.86
Ni: 0.1686 0.3172 0.8514  1 C 1.86
Ni: 0.1686 0.8514 0.3172  1 C 1.86
Ni: 0.2326 0.0000 0.5806  7 Ni 2.30-2.48
Ni: 0.2326 0.2326 0.6520  7 Ni 2.30-2.48
Ni: 0.2326 0.5806 0.0000  7 Ni 2.30-2.48
Ni: 0.2326 0.6520 0.2326  7 Ni 2.30-2.48
Ni: 0.2500 0.5000 0.7500  12 Ni 2.58-2.61
Ni: 0.2500 0.7500 0.5000  12 Ni 2.58-2.61
Ni: 0.3172 0.1486 0.4658  1 C 1.86
Ni: 0.3172 0.1686 0.8514  1 C 1.86
Ni: 0.3172 0.4658 0.1486  1 C 1.86
Ni: 0.3172 0.8514 0.1686  1 C 1.86
Ni: 0.3480 0.5806 0.5806  7 Ni 2.30-2.48
Ni: 0.3480 0.7674 0.7674  7 Ni 2.30-2.48
Ni: 0.4194 0.0000 0.7674  7 Ni 2.30-2.48
Ni: 0.4194 0.4194 0.6520  7 Ni 2.30-2.48
Ni: 0.4194 0.6520 0.4194  7 Ni 2.30-2.48
Ni: 0.4194 0.7674 0.0000  7 Ni 2.30-2.48
Ni: 0.4658 0.1486 0.3172  1 C 1.86
Ni: 0.4658 0.3172 0.1486  1 C 1.86
Ni: 0.5000 0.2500 0.7500  12 Ni 2.58-2.61
Ni: 0.5000 0.7500 0.2500  12 Ni 2.58-2.61
Ni: 0.5342 0.6828 0.8514  1 C 1.86
Ni: 0.5342 0.8514 0.6828  1 C 1.86
Ni: 0.5806 0.0000 0.2326  7 Ni 2.30-2.48
Ni: 0.5806 0.2326 0.0000  7 Ni 2.30-2.48
Ni: 0.5806 0.3480 0.5806  7 Ni 2.30-2.48
Ni: 0.5806 0.5806 0.3480  7 Ni 2.30-2.48
Ni: 0.6520 0.2326 0.2326  7 Ni 2.30-2.48
Ni: 0.6520 0.4194 0.4194  7 Ni 2.30-2.48
Ni: 0.6828 0.1486 0.8314  1 C 1.86
Ni: 0.6828 0.5342 0.8514  1 C 1.86
Ni: 0.6828 0.8314 0.1486  1 C 1.86
Ni: 0.6828 0.8514 0.5342  1 C 1.86
Ni: 0.7500 0.2500 0.5000  12 Ni 2.58-2.61
Ni: 0.7500 0.5000 0.2500  12 Ni 2.58-2.61
Ni: 0.7674 0.0000 0.4194  7 Ni 2.30-2.48
Ni: 0.7674 0.3480 0.7674  7 Ni 2.30-2.48
Ni: 0.7674 0.4194 0.0000  7 Ni 2.30-2.48
Ni: 0.7674 0.7674 0.3480  7 Ni 2.30-2.48
Ni: 0.8314 0.1486 0.6828  1 C 1.86
Ni: 0.8314 0.6828 0.1486  1 C 1.86
Ni: 0.8514 0.1686 0.3172  1 C 1.86
Ni: 0.8514 0.3172 0.1686  1 C 1.86
Ni: 0.8514 0.5342 0.6828  1 C 1.86
Ni: 0.8514 0.6828 0.5342  1 C 1.86
Ni: 0.8554 0.0000 0.8554  1 C 1.84
Ni: 0.8554 0.8554 0.0000  1 C 1.84
C: 0.0000 0.2938 0.2938  5 Ni 1.84-1.86
C: 0.0000 0.7062 0.7062  5 Ni 1.84-1.86
C: 0.2938 0.0000 0.2938  5 Ni 1.84-1.86
C: 0.2938 0.2938 0.0000  5 Ni 1.84-1.86
C: 0.7062 0.0000 0.7062  5 Ni 1.84-1.86
C: 0.7062 0.7062 0.0000  5 Ni 1.84-1.86

Values from the calculation:
Spin magnetization (Bohr magnetons per cell): 3.44
Crystal system: cubic


The following is a PBE calculation of Lu3PbC after structural relaxation, from the Materials Project database.

abc: 4.7869 4.7869 4.7869
angles: 90.00 90.00 90.00
With the nearest neighbours (Å) after each atom.
Element x y z (fractional)
Lu: 0.0000 0.0000 0.5000  2 C 2.39
Lu: 0.0000 0.5000 0.0000  2 C 2.39
Lu: 0.5000 0.0000 0.0000  2 C 2.39
Pb: 0.5000 0.5000 0.5000  12 Lu 3.38
C: 0.0000 0.0000 0.0000  6 Lu 2.39

Values from the calculation:
Crystal system: cubic


The following is a PBE calculation of Lu2ReC2 after structural relaxation, from the Materials Project database.

abc: 6.4828 4.9893 9.6771
angles: 90.00 90.00 90.00
With the nearest neighbours (Å) after each atom.
Element x y z (fractional)
Lu: 0.0328 0.2500 0.2187  4 C 2.47-2.55
Lu: 0.1795 0.2500 0.5570  5 C 2.45-2.53
Lu: 0.3205 0.7500 0.0570  5 C 2.45-2.53
Lu: 0.4672 0.7500 0.7187  4 C 2.47-2.55
Lu: 0.5328 0.2500 0.2813  4 C 2.47-2.55
Lu: 0.6795 0.2500 0.9430  5 C 2.45-2.53
Lu: 0.8205 0.7500 0.4430  5 C 2.45-2.53
Lu: 0.9672 0.7500 0.7813  4 C 2.47-2.55
Re: 0.2202 0.2500 0.8694  3 C 1.94-2.03
Re: 0.2798 0.7500 0.3694  3 C 1.94-2.03
Re: 0.7202 0.2500 0.6306  3 C 1.94-2.03
Re: 0.7798 0.7500 0.1306  3 C 1.94-2.03
C: 0.0465 0.7500 0.2405  2 Re 1.96-2.03
C: 0.1725 0.7500 0.5563  1 Re 1.94
C: 0.3275 0.2500 0.0563  1 Re 1.94
C: 0.4535 0.2500 0.7405  2 Re 1.96-2.03
C: 0.5465 0.7500 0.2595  2 Re 1.96-2.03
C: 0.6725 0.7500 0.9437  1 Re 1.94
C: 0.8275 0.2500 0.4437  1 Re 1.94
C: 0.9535 0.2500 0.7595  2 Re 1.96-2.03

Values from the calculation:
Spin magnetization (Bohr magnetons per cell): 0.00
Crystal system: orthorhombic


The following is a PBE calculation of Lu5Re2C7 after structural relaxation, from the Materials Project database.

abc: 8.1494 8.1494 3.3438
angles: 90.00 90.00 121.65
With the nearest neighbours (Å) after each atom.
Element x y z (fractional)
Lu: 0.0000 0.0000 0.0000  6 C 2.42-2.61
Lu: 0.1634 0.4217 0.5000  5 C 2.33-2.50
Lu: 0.4217 0.1634 0.5000  5 C 2.33-2.50
Lu: 0.5783 0.8366 0.5000  5 C 2.33-2.50
Lu: 0.8366 0.5783 0.5000  5 C 2.33-2.50
Re: 0.2156 0.7844 0.0000  4 C 2.05-2.13
Re: 0.7844 0.2156 0.0000  4 C 2.05-2.13
C: 0.0000 0.5000 0.0000  2 Re 2.05
C: 0.1231 0.8769 0.5000  2 Re 2.13, 2 Lu 2.33
C: 0.3288 0.3288 0.0000  1 C 1.36
C: 0.5000 0.0000 0.0000  2 Re 2.05
C: 0.5000 0.5000 0.0000  2 C 1.36
C: 0.6712 0.6712 0.0000  1 C 1.36
C: 0.8769 0.1231 0.5000  2 Re 2.13, 2 Lu 2.33

Values from the calculation:
Crystal system: orthorhombic


E_form (computed, meV per atom): -392.3; -101.1; -363.9; -988.0; -1033.2; -343.9; -420.0; -360.8; -292.3; -567.2; -473.8; -436.0